First-principles (PBE-GGA) data for a relaxed Sr8CaY3Cu12Pb8O32 crystal, as listed in Materials Project.

Cell and atoms, written as POSCAR:
```
Sr8CaY3Cu12Pb8O32
1.0
7.677 0.000 0.000
-0.071 7.682 0.000
-3.665 -3.791 15.940
Sr Ca Y Cu Pb O
8 1 3 12 8 32
Cartesian
0.013 0.013 3.490
-0.009 3.842 3.520
0.076 3.890 12.420
0.125 0.036 12.412
3.816 3.855 3.529
3.865 0.002 3.520
3.950 0.049 12.420
3.928 3.879 12.450
0.000 0.000 0.000
-0.035 3.841 0.000
3.839 0.000 0.000
3.803 3.841 0.000
-1.784 -1.880 14.262
-1.815 1.970 14.255
0.069 0.025 7.970
0.034 3.866 7.970
1.911 1.918 1.678
1.873 5.773 1.686
2.069 -1.881 14.255
2.031 1.973 14.262
3.908 0.025 7.970
3.873 3.866 7.971
5.757 1.922 1.685
5.726 5.772 1.678
-1.866 1.931 9.748
-1.799 -1.945 9.745
1.933 1.993 6.195
1.933 5.804 6.191
2.008 -1.913 9.749
2.008 1.899 9.745
5.740 5.836 6.195
5.807 1.961 6.192
-0.041 5.712 1.510
-0.003 1.979 1.523
-1.809 -1.849 11.927
-1.790 1.937 11.932
-0.401 0.142 6.167
0.070 3.454 6.154
-1.778 0.043 14.481
-1.774 3.888 14.419
1.907 3.844 1.470
-0.002 4.280 9.786
1.984 0.007 1.514
0.540 -0.092 9.771
1.869 5.784 4.007
1.957 1.910 4.013
0.139 -1.861 14.471
0.109 1.954 14.483
3.832 1.938 1.457
3.802 5.753 1.469
1.984 1.981 11.928
2.072 -1.892 11.933
3.401 3.984 6.169
1.957 3.885 14.426
3.944 -0.388 6.154
2.034 0.048 14.471
5.715 0.004 1.521
5.719 3.848 1.459
3.872 0.438 9.786
4.343 3.749 9.774
5.731 1.955 4.008
5.750 5.741 4.014
3.944 1.912 14.417
3.982 -1.820 14.430
```

Properties
Formation enthalpy at 0 K = -2031 meV per atom
Final energy = -5.940 eV/atom
Calculated density = 6.959 g cm⁻³
MP2020-corrected energy = -402.13 eV/cell
Symmetry = No. 2
Crystal system = triclinic